1.
Material: NiSbSe
Method: DFT, PBE
State: optimized geometry

The structure in POSCAR format:
```
NiSbSe
1.0
6.1215 0.0000 0.0000
0.0000 6.1215 0.0000
0.0000 0.0000 6.1215
Ni Sb Se
4 4 4
Cartesian
0.0582 3.0026 3.1190
3.0026 3.1190 0.0582
3.1190 0.0582 3.0026
6.0633 6.0633 6.0633
0.8040 5.3175 2.2567
2.2567 0.8040 5.3175
3.8648 3.8648 3.8648
5.3175 2.2567 0.8040
0.7630 3.8238 5.3585
2.2977 2.2977 2.2977
3.8238 5.3585 0.7630
5.3585 0.7630 3.8238
```

Calculated values
Volume ... 229 Å³ per cell
Formation energy ... -0.455 eV per atom
Total DFT energy (no corrections) ... -57.2 eV/cell

2.
Material: KC8
Method: DFT, PBE
State: optimized geometry

The structure in POSCAR format:
```
KC8
1.0
0.0000 4.3158 10.7205
2.4881 0.0000 10.7205
2.4881 4.3158 0.0000
K C
2 16
Cartesian
0.6220 1.0790 2.6801
4.3541 7.5527 18.7609
3.1096 3.9592 5.3613
1.8664 1.8014 5.3789
3.1096 2.5145 10.7195
4.3536 4.6724 10.7216
1.8657 1.8014 10.7019
3.1098 3.9593 10.7392
0.6225 2.5145 5.3613
1.8657 4.6723 5.3789
3.1104 3.9593 16.0622
4.3536 6.1171 16.0797
1.8664 4.6723 10.7019
3.1104 6.8302 10.7392
0.6225 3.9592 10.7195
1.8666 6.1171 10.7216
3.1098 6.8302 16.0622
1.8666 4.6724 16.0797
```

Calculated values
Volume ... 230 Å³ per cell
Formation energy ... -0.035 eV per atom
Total DFT energy (no corrections) ... -150.5 eV/cell

3.
Material: ScOs2
Method: DFT, PBE
State: optimized geometry

The structure in POSCAR format:
```
ScOs2
1.0
5.2061 0.0000 0.0000
-2.6030 4.5086 0.0000
0.0000 0.0000 8.6127
Sc Os
4 8
Cartesian
0.0000 3.0057 0.5742
0.0000 3.0057 3.7322
2.6030 1.5029 4.8805
2.6030 1.5029 8.0385
0.0000 0.0000 0.0000
0.0000 0.0000 4.3064
0.0000 1.5588 6.4595
-1.2531 3.7292 6.4595
1.3500 0.7794 2.1532
1.2531 3.7292 6.4595
3.8561 0.7794 2.1532
2.6030 2.9498 2.1532
```

Calculated values
Volume ... 202 Å³ per cell
Formation energy ... -0.380 eV per atom
Total DFT energy (no corrections) ... -119.7 eV/cell

4.
Material: La2Ge4Pd3Pt
Method: DFT, PBE
State: optimized geometry

The structure in POSCAR format:
```
La2Ge4Pd3Pt
1.0
4.4468 0.0000 0.0000
0.0000 4.4468 0.0000
0.0000 0.0000 10.1975
La Ge Pd Pt
2 4 3 1
Cartesian
0.0000 2.2234 2.5496
2.2234 0.0000 7.6479
0.0000 2.2234 6.3683
0.0000 2.2234 8.9236
2.2234 0.0000 1.2739
2.2234 0.0000 3.8292
0.0000 0.0000 0.0000
0.0000 0.0000 5.0988
2.2234 2.2234 5.0988
2.2234 2.2234 0.0000
```

Calculated values
Volume ... 202 Å³ per cell
Total moment ... 0.0 μB/f.u.
Formation energy ... -0.872 eV per atom
Total DFT energy (no corrections) ... -58.7 eV/cell

5.
Material: LiSc2Ag2O4
Method: DFT, PBE
State: optimized geometry

The structure in POSCAR format:
```
LiSc2Ag2O4
1.0
3.1739 0.0000 0.0000
-1.5869 2.7486 0.0000
0.0000 0.0000 14.3281
Li Sc Ag O
1 2 2 4
Cartesian
0.0000 0.0000 0.0000
0.0000 1.8324 2.3782
0.0000 1.8324 8.7125
0.0000 0.0000 5.5239
1.5869 0.9162 11.9954
0.0000 0.0000 3.3634
0.0000 0.0000 7.5957
1.5869 0.9162 1.1783
1.5869 0.9162 9.7141
```

Calculated values
Volume ... 125 Å³ per cell
Total moment ... 0.0 μB/f.u.
Excess energy over the best structure of this formula in the dataset ... 0.0 meV/atom
Formation energy ... -2.481 eV per atom
Total DFT energy (no corrections) ... -59.6 eV/cell

6.
Material: HoZn
Method: DFT, PBE
State: optimized geometry

The structure in POSCAR format:
```
HoZn
1.0
3.5568 0.0000 0.0000
0.0000 3.5568 0.0000
0.0000 0.0000 3.5568
Ho Zn
1 1
Cartesian
0.0000 0.0000 0.0000
1.7784 1.7784 1.7784
```

Calculated values
Volume ... 45 Å³ per cell
Formation energy ... -0.351 eV per atom
Total DFT energy (no corrections) ... -6.5 eV/cell

7.
Material: BaSrLaBiO6
Method: DFT, PBE
State: optimized geometry

The structure in POSCAR format:
```
BaSrLaBiO6
1.0
8.7913 0.0000 0.0000
0.0000 8.8249 0.0000
0.0000 0.0000 8.8437
Ba Sr La Bi O
4 4 4 4 24
Cartesian
2.1978 2.2062 2.2109
2.1978 6.6187 2.2109
6.5935 2.2062 6.6328
6.5935 6.6187 6.6328
0.0000 0.0000 0.0000
0.0000 4.4125 4.4218
4.3956 0.0000 4.4218
4.3956 4.4125 0.0000
2.1978 2.2062 6.6328
2.1978 6.6187 6.6328
6.5935 2.2062 2.2109
6.5935 6.6187 2.2109
0.0000 0.0000 4.4218
0.0000 4.4125 0.0000
4.3956 0.0000 0.0000
4.3956 4.4125 4.4218
0.4267 0.5790 6.4694
0.4267 3.8335 6.7961
0.4891 6.4509 8.3167
0.4891 6.7865 4.9488
2.0419 0.3190 4.0622
2.0419 4.0935 0.3596
2.3537 0.3190 0.3596
2.3537 4.0935 4.0622
3.9066 6.4509 4.9488
3.9066 6.7865 8.3167
3.9690 0.5790 6.7961
3.9690 3.8335 6.4694
4.8223 4.9915 2.3743
4.8223 8.2459 2.0476
4.8847 2.0384 0.5270
4.8847 2.3740 3.8948
6.4376 4.7315 4.7815
6.4376 8.5059 8.4841
6.7493 4.7315 8.4841
6.7493 8.5059 4.7815
8.3022 2.0384 3.8948
8.3022 2.3740 0.5270
8.3646 4.9915 2.0476
8.3646 8.2459 2.3743
```

Calculated values
Volume ... 686 Å³ per cell
Total moment ... 0.0 μB/f.u.
Excess energy over the best structure of this formula in the dataset ... 73.4 meV/atom
Formation energy ... -2.714 eV per atom
Total DFT energy (no corrections) ... -260.6 eV/cell

8.
Material: K2HfF6
Method: DFT, PBE
State: optimized geometry

The structure in POSCAR format:
```
K2HfF6
1.0
3.3235 -5.8360 0.0000
3.3235 5.8360 0.0000
-0.0136 0.0000 6.9657
K Hf F
4 2 12
Cartesian
3.2020 3.9978 6.9480
3.4246 3.9978 3.5006
3.2087 -3.9978 3.4651
3.4314 -3.9978 0.0177
3.3133 0.5603 5.2243
3.3201 -0.5603 1.7414
2.0602 2.2323 5.0723
1.4101 0.1510 1.9384
1.4033 -0.1510 5.4212
3.1302 1.1348 0.3093
3.5099 1.1348 3.1736
4.5664 2.2323 5.3763
2.0670 -2.2323 1.5895
3.1234 -1.1348 3.7921
3.5032 -1.1348 6.6565
5.2301 0.1510 1.5445
5.2233 -0.1510 5.0274
4.5732 -2.2323 1.8934
```

Calculated values
Volume ... 270 Å³ per cell
Formation energy ... -3.731 eV per atom
Total DFT energy (no corrections) ... -109.0 eV/cell

9.
Material: Mg7Zr
Method: DFT, PBE
State: optimized geometry

The structure in POSCAR format:
```
Mg7Zr
1.0
6.4318 0.0000 0.0000
-3.2159 5.5701 0.0000
0.0000 0.0000 5.0635
Mg Zr
7 1
Cartesian
0.0000 0.0000 0.0000
-1.5834 2.7992 0.0000
1.6191 0.9348 2.5317
1.5834 2.7992 0.0000
0.0000 5.5418 0.0000
4.8127 0.9348 2.5317
3.2159 3.7006 2.5317
0.0000 3.7134 2.5317
```

Calculated values
Volume ... 181 Å³ per cell
Total moment ... 0.3 μB/f.u.
Formation energy ... 0.058 eV per atom
Total DFT energy (no corrections) ... -19.3 eV/cell

10.
Material: Ni4CN4
Method: DFT, PBE
State: optimized geometry

The structure in POSCAR format:
```
Ni4CN4
1.0
9.0469 0.0000 0.0000
0.0000 2.7738 0.0000
0.0000 0.0000 15.1912
Ni C N
16 4 16
Cartesian
0.3559 0.6935 2.3696
0.4861 2.0804 4.7556
1.2989 2.0804 14.6705
1.7041 0.6935 11.9119
2.8193 2.0804 4.3163
3.2246 0.6935 7.0750
4.0374 0.6935 12.3512
4.1676 2.0804 9.9652
4.8793 0.6935 5.2260
5.0096 2.0804 2.8400
5.8224 2.0804 8.1162
6.2276 0.6935 10.8749
7.3428 2.0804 3.2793
7.7480 0.6935 0.5206
8.5608 0.6935 10.4356
8.6911 2.0804 12.8216
1.5137 2.0804 8.8633
3.0098 0.6935 1.2678
6.0372 2.0804 13.9234
7.5332 0.6935 6.3278
0.4342 2.0804 9.4232
0.8426 0.6935 13.5033
1.5012 0.6935 3.8988
1.8510 0.6935 0.8002
2.6724 2.0804 8.3958
3.0222 2.0804 11.4944
3.6809 2.0804 5.9077
4.0893 0.6935 1.8276
4.9577 2.0804 13.3636
5.3660 0.6935 9.2835
6.0247 0.6935 3.6968
6.3745 0.6935 6.7954
7.1959 2.0804 14.3910
7.5457 2.0804 11.2924
8.2044 2.0804 1.6879
8.6127 0.6935 5.7680
```

Calculated values
Volume ... 381 Å³ per cell
Total moment ... 0.0 μB/f.u.
Formation energy ... 0.172 eV per atom
Total DFT energy (no corrections) ... -250.8 eV/cell

11.
Material: Ba3GaSe4Cl
Method: DFT, PBE
State: optimized geometry

The structure in POSCAR format:
```
Ba3GaSe4Cl
1.0
12.9467 0.0000 0.0000
0.0000 10.0076 0.0000
0.0000 0.0000 8.8925
Ba Ga Se Cl
12 4 16 4
Cartesian
0.1177 2.5019 0.7348
2.1996 0.1973 5.1326
2.1996 4.8066 5.1326
4.2738 5.2011 0.6864
4.2738 9.8104 0.6864
6.3557 7.5057 5.1810
6.5911 2.5019 3.7115
8.6729 0.1973 8.2060
8.6729 4.8066 8.2060
10.7472 5.2011 3.7598
10.7472 9.8104 3.7598
12.8291 7.5057 8.1577
1.4157 7.5057 2.7851
5.0577 2.5019 7.2313
7.8891 7.5057 1.6611
11.5311 2.5019 6.1074
0.0776 7.5057 4.8108
0.9827 5.4431 1.6609
0.9827 9.5683 1.6609
2.6684 2.5019 7.6557
3.8049 7.5057 3.2095
5.4907 0.4393 6.1072
5.4907 4.5645 6.1072
6.3958 2.5019 0.3646
6.5509 7.5057 8.5278
7.4561 5.4431 2.7853
7.4561 9.5683 2.7853
9.1418 2.5019 5.6830
10.2783 7.5057 1.2367
11.9641 0.4393 7.2315
11.9641 4.5645 7.2315
12.8692 2.5019 4.0816
2.9622 7.5057 7.4578
3.5112 2.5019 3.0116
9.4356 7.5057 5.8809
9.9845 2.5019 1.4347
```

Calculated values
Volume ... 1152 Å³ per cell
Total moment ... 0.0 μB/f.u.
Formation energy ... -1.820 eV per atom
Total DFT energy (no corrections) ... -161.5 eV/cell

12.
Material: UGa5Ru
Method: DFT, PBE
State: optimized geometry

The structure in POSCAR format:
```
UGa5Ru
1.0
4.3208 0.0000 0.0000
0.0000 4.3208 0.0000
0.0000 0.0000 6.7232
U Ga Ru
1 5 1
Cartesian
0.0000 0.0000 0.0000
0.0000 2.1604 2.0229
0.0000 2.1604 4.7003
2.1604 0.0000 2.0229
2.1604 0.0000 4.7003
2.1604 2.1604 0.0000
0.0000 0.0000 3.3616
```

Calculated values
Volume ... 126 Å³ per cell
Formation energy ... -0.348 eV per atom
Total DFT energy (no corrections) ... -38.1 eV/cell